Entry 1:
Ca7MgMn7FeO20: optimized geometry, PBE with a Hubbard U.

## Properties
E_form: -89.73 eV/f.u.
Total magnetization: 32.39 μB/f.u.
Crystal system: triclinic
MP2020-corrected energy: -7.692 eV/atom
Calculated volume: 12.60 Å³ per atom
Space-group type: P1 (1)

a = 10.8899 Å, b = 11.1376 Å, c = 16.8938 Å
α = 109.04°, β = 109.13°, γ = 90.53°
Sites, in units of the cell vectors:
Mn 0.5969 0.5942 0.2450
O 0.3706 0.1150 0.4810
Mn 0.2610 0.7501 0.0060
O 0.4251 0.5828 0.7498
O 0.6452 0.8872 0.0203
O 0.9506 0.9044 0.3683
O 0.1964 0.7148 0.3676
O 0.3831 0.3786 0.5081
Mn 0.2559 0.7499 0.4992
Ca 0.9479 0.2035 0.8915
O 0.6386 0.3801 0.5154
Mn 0.6123 0.0885 0.7501
Mn 0.5066 0.4994 0.0018
O 0.8507 0.7749 0.1363
Mn 0.7538 0.7492 0.4983
Ca 0.2016 0.9386 0.8972
Fe 0.5051 0.0024 0.0032
O 0.3911 0.3994 0.0298
O 0.6241 0.6169 0.9879
O 0.8721 0.6170 0.4853
O 0.6835 0.2123 0.3652
Ca 0.6946 0.9356 0.3902
Mn 0.8595 0.8981 0.7518
O 0.4432 0.9029 0.8675
O 0.1489 0.8838 0.0282
O 0.8844 0.3806 0.5115
O 0.4412 0.9038 0.3657
O 0.6209 0.1166 0.4807
Ca 0.8047 0.5634 0.1088
O 0.1393 0.3784 0.5150
Ca 0.9528 0.7070 0.8968
O 0.8933 0.3834 0.0225
O 0.6286 0.1165 0.9841
Mn 0.1127 0.0927 0.7527
O 0.3273 0.7869 0.6316
O 0.6406 0.3749 0.0176
O 0.6719 0.4376 0.2500
O 0.6749 0.9133 0.7509
Mn 0.8580 0.9135 0.2470
Ca 0.4517 0.2046 0.8909
O 0.7062 0.2199 0.8717
O 0.2035 0.2245 0.8753
O 0.3724 0.6158 0.4847
O 0.3873 0.8828 0.5137
O 0.4222 0.0639 0.7500
Ca 0.5563 0.7907 0.6055
O 0.1527 0.9204 0.2355
O 0.1087 0.1075 0.1382
Mg 0.0305 0.7901 0.1134
Mn 0.5046 0.4963 0.4966
O 0.9520 0.9023 0.8698
O 0.0807 0.0968 0.6298
O 0.0774 0.5939 0.6326
Fe 0.0097 0.4994 0.0017
O 0.4504 0.4002 0.8718
Ca 0.4469 0.2036 0.3862
Mn 0.7552 0.2478 0.4991
Mn 0.8591 0.4045 0.2476
Ca 0.9481 0.7086 0.3909
Ca 0.0555 0.2927 0.6078
O 0.8846 0.8812 0.5105
Ca 0.3074 0.5627 0.6057
Mn 0.3559 0.8992 0.7500
O 0.1376 0.8787 0.5136
O 0.3463 0.7589 0.1298
O 0.3336 0.2819 0.6292
Mn 0.0056 0.4968 0.4983
O 0.1229 0.1176 0.4825
O 0.3784 0.1242 0.9831
O 0.8764 0.6141 0.9844
O 0.6042 0.1030 0.1372
O 0.6967 0.7129 0.8675
O 0.3864 0.8918 0.0226
Mn 0.8618 0.4069 0.7514
O 0.1714 0.4374 0.2495
O 0.4515 0.4033 0.3671
Mn 0.3600 0.4080 0.7504
Mn 0.2557 0.2471 0.4986
Ca 0.8067 0.0632 0.6086
Ca 0.5559 0.2931 0.1095
Mn 0.7603 0.2468 0.0017
O 0.4096 0.0769 0.2359
O 0.6726 0.4351 0.7510
Fe 0.0101 0.9999 0.0059
O 0.1737 0.9158 0.7511
O 0.1558 0.3912 0.0329
Mn 0.6002 0.0959 0.2463
Ca 0.8072 0.5632 0.6069
Ca 0.1998 0.4382 0.8942
O 0.8771 0.1144 0.9852
O 0.3407 0.2614 0.1310
O 0.8704 0.1161 0.4812
O 0.6230 0.6191 0.4867
Mn 0.5049 0.9995 0.4975
O 0.5740 0.5913 0.6303
O 0.3760 0.6203 0.9795
Ca 0.6999 0.9350 0.8960
O 0.4093 0.5816 0.2362
Mn 0.2631 0.2534 0.0054
O 0.8310 0.2808 0.6290
Mn 0.1085 0.6039 0.2489
O 0.6361 0.8796 0.5121
O 0.1850 0.2053 0.3634
Ca 0.4457 0.7076 0.3873
Ca 0.1954 0.9365 0.3876
Ca 0.6974 0.4359 0.8928
Mn 0.3553 0.4067 0.2434
O 0.9291 0.5784 0.2499
O 0.9608 0.3959 0.8710
O 0.9247 0.5833 0.7512
O 0.9510 0.4010 0.3697
O 0.8285 0.7881 0.6325
Ca 0.0548 0.7919 0.6064
O 0.9016 0.8844 0.0268
Mg 0.2851 0.0745 0.1153
Ca 0.1947 0.4330 0.3891
Ca 0.5523 0.7913 0.1088
Mg 0.7811 0.0759 0.1129
O 0.1321 0.6181 0.9872
Ca 0.4510 0.7072 0.8921
O 0.6822 0.7099 0.3637
Ca 0.0548 0.2934 0.1106
O 0.5814 0.0966 0.6283
Ca 0.9486 0.2041 0.3879
O 0.0916 0.6166 0.1367
Ca 0.3067 0.0635 0.6078
O 0.1305 0.1218 0.9873
O 0.9224 0.0630 0.7509
Fe 0.7605 0.7518 0.0058
Mn 0.6092 0.5994 0.7499
O 0.1725 0.4365 0.7507
Mn 0.0064 0.9997 0.4986
Mn 0.1083 0.6007 0.7520
O 0.1235 0.6187 0.4853
O 0.5946 0.5981 0.1344
O 0.8317 0.2651 0.1299
O 0.6700 0.9376 0.2493
Mg 0.2880 0.5710 0.1107
Mn 0.3469 0.9014 0.2396
O 0.9107 0.0844 0.2351
Ca 0.6948 0.4354 0.3909
Ca 0.5554 0.2930 0.6074
Mn 0.0991 0.0902 0.2427
O 0.1942 0.7178 0.8708

Entry 2:
Ca7MgMn7FeO24: optimized geometry, PBE with a Hubbard U.

## Properties
E_form: -92.88 eV/f.u.
Total magnetization: 26.70 μB/f.u.
Crystal system: trigonal
MP2020-corrected energy: -7.497 eV/atom
Calculated volume: 11.04 Å³ per atom
Space-group type: R3m (160)

a = 7.6157 Å, b = 7.6157 Å, c = 7.6157 Å
α = 89.99°, β = 89.99°, γ = 89.99°
Sites, in units of the cell vectors:
O 0.4975 0.4975 0.2502
Mn 0.4995 0.4995 0.4995
Mn 0.0005 0.4995 0.4995
Fe 0.0006 0.0006 0.0006
O 0.0023 0.0023 0.2540
O 0.0023 0.2540 0.0023
O 0.7461 0.0004 0.0004
O 0.2502 0.4975 0.4975
Ca 0.7502 0.7502 0.7502
O 0.2507 0.4975 0.0025
Mn 0.0005 0.0005 0.4996
Mn 0.0005 0.4996 0.0005
O 0.0003 0.7493 0.4997
Ca 0.7502 0.7502 0.2498
Ca 0.7502 0.2498 0.2498
O 0.4975 0.2502 0.4975
Mn 0.4995 0.4995 0.0005
Ca 0.2498 0.7502 0.7502
O 0.4975 0.0025 0.2507
Mg 0.2498 0.2498 0.2498
O 0.4997 0.0003 0.7493
O 0.4997 0.7493 0.0003
O 0.0025 0.4975 0.2507
Mn 0.4995 0.0005 0.4995
O 0.4997 0.7497 0.4997
O 0.7493 0.4997 0.0003
O 0.0004 0.7461 0.0004
O 0.0004 0.0004 0.7461
O 0.0025 0.2507 0.4975
O 0.4997 0.4997 0.7497
Ca 0.2498 0.7502 0.2498
O 0.7497 0.4997 0.4997
O 0.7493 0.0003 0.4997
O 0.4975 0.2507 0.0025
O 0.0003 0.4997 0.7493
Ca 0.7502 0.2498 0.7502
O 0.2540 0.0023 0.0023
Mn 0.4996 0.0005 0.0005
O 0.2507 0.0025 0.4975
Ca 0.2498 0.2498 0.7502

Entry 3:
NaCaMg3Fe6P9O36: optimized geometry, PBE with a Hubbard U.

## Properties
E_form: -144.75 eV/f.u.
Total magnetization: 30.00 μB/f.u.
Crystal system: monoclinic
MP2020-corrected energy: -7.688 eV/atom
Calculated volume: 11.80 Å³ per atom
Space-group type: C2/c (15)

a = 8.6498 Å, b = 8.6498 Å, c = 18.2010 Å
α = 80.74°, β = 80.74°, γ = 93.03°
Sites, in units of the cell vectors:
Fe 0.1610 0.3585 0.7088
O 0.0487 0.8156 0.9216
O 0.6490 0.1453 0.0402
O 0.2293 0.3721 0.2268
Mg 0.9683 0.0317 0.2500
Ca 0.5000 0.0000 0.5000
P 0.5920 0.3101 0.0406
O 0.4318 0.7170 0.5519
Ca 0.0000 0.5000 0.0000
Fe 0.6829 0.4981 0.8764
Fe 0.6415 0.8390 0.7912
O 0.2438 0.9559 0.7786
O 0.4994 0.5597 0.1780
O 0.1844 0.9513 0.5784
O 0.3510 0.8547 0.9598
O 0.9699 0.7974 0.2030
O 0.9136 0.6275 0.1041
P 0.7975 0.8723 0.4168
O 0.2993 0.4445 0.6054
O 0.9513 0.1844 0.0784
Fe 0.8390 0.6415 0.2912
O 0.1592 0.3819 0.0829
O 0.8341 0.7702 0.4901
P 0.4080 0.6899 0.9594
O 0.8996 0.0412 0.5625
Mg 0.6532 0.6783 0.5856
O 0.3138 0.8082 0.3714
O 0.1659 0.2298 0.5099
Fe 0.9803 0.1752 0.4564
O 0.7007 0.5555 0.3946
P 0.9723 0.2515 0.8755
P 0.3595 0.0800 0.7911
Fe 0.0197 0.8248 0.5436
Na 0.2569 0.7431 0.2500
P 0.6405 0.9200 0.2089
O 0.8632 0.6966 0.6314
O 0.8082 0.3138 0.8714
P 0.2515 0.9723 0.3755
O 0.6862 0.1918 0.6286
O 0.1918 0.6862 0.1286
O 0.2796 0.5087 0.7513
Mg 0.6783 0.6532 0.0856
O 0.7974 0.9699 0.7030
P 0.0800 0.3595 0.2911
Mg 0.3468 0.3217 0.4144
O 0.7204 0.4913 0.2487
O 0.8948 0.8355 0.3429
Mg 0.0317 0.9683 0.7500
O 0.0864 0.3725 0.8959
O 0.1368 0.3034 0.3686
O 0.9704 0.4705 0.7079
O 0.5682 0.2830 0.4481
O 0.4659 0.6350 0.0364
O 0.5295 0.0296 0.7921
O 0.5555 0.7007 0.8946
Fe 0.3585 0.1610 0.2088
O 0.0441 0.7562 0.7214
Mg 0.3217 0.3468 0.9144
P 0.2025 0.1277 0.5832
O 0.2298 0.1659 0.0099
O 0.6275 0.9136 0.6041
O 0.4913 0.7204 0.7487
O 0.6966 0.8632 0.1314
Fe 0.8248 0.0197 0.0436
O 0.6181 0.8408 0.4171
O 0.4403 0.5006 0.3220
O 0.3725 0.0864 0.3959
O 0.4445 0.2993 0.1054
O 0.6279 0.7707 0.2732
O 0.7562 0.0441 0.2214
O 0.8156 0.0487 0.4216
O 0.1052 0.1645 0.6571
P 0.6899 0.4080 0.4594
Na 0.7431 0.2569 0.7500
O 0.7707 0.6279 0.7732
O 0.5341 0.3650 0.9636
Fe 0.5019 0.3171 0.6236
O 0.0301 0.2026 0.7970
O 0.2026 0.0301 0.2970
P 0.5444 0.4556 0.2500
O 0.5597 0.4994 0.6780
P 0.3101 0.5920 0.5406
O 0.0412 0.8996 0.0625
O 0.8355 0.8948 0.8429
P 0.4556 0.5444 0.7500
P 0.8723 0.7975 0.9168
Fe 0.1752 0.9803 0.9564
O 0.1645 0.1052 0.1571
O 0.3034 0.1368 0.8686
P 0.9200 0.6405 0.7089
Fe 0.3171 0.5019 0.1236
O 0.0296 0.5295 0.2921
O 0.7170 0.4318 0.0519
P 0.1277 0.2025 0.0832
P 0.7485 0.0277 0.6245
O 0.3721 0.2293 0.7268
O 0.1453 0.6490 0.5402
O 0.9588 0.1004 0.9375
O 0.1004 0.9588 0.4375
O 0.3819 0.1592 0.5829
O 0.4705 0.9704 0.2079
O 0.8408 0.6181 0.9171
O 0.5006 0.4403 0.8220
O 0.3650 0.5341 0.4636
Fe 0.4981 0.6829 0.3764
O 0.7702 0.8341 0.9901
O 0.9559 0.2438 0.2786
O 0.5087 0.2796 0.2513
O 0.6350 0.4659 0.5364
O 0.8547 0.3510 0.4598
P 0.0277 0.7485 0.1245
O 0.2830 0.5682 0.9481

Entry 4:
NaCaMgFeSi4O12: optimized geometry, PBE with a Hubbard U.

## Properties
E_form: -60.79 eV/f.u.
Total magnetization: 0.00 μB/f.u.
MP2020-corrected energy: -7.763 eV/atom
Calculated volume: 11.28 Å³ per atom

a = 8.9763 Å, b = 10.6786 Å, c = 9.7332 Å
α = 104.73°, β = 90.00°, γ = 90.00°
Sites, in units of the cell vectors:
Si 0.0913 0.2207 0.7125
O 0.7470 0.2763 0.3612
Si 0.4086 0.2230 0.2113
O 0.7494 0.2732 0.8624
Si 0.0914 0.5293 0.2875
O 0.2495 0.0232 0.3624
O 0.4886 0.5786 0.1524
Si 0.4086 0.5270 0.7886
O 0.0815 0.4918 0.1142
O 0.5155 0.3241 0.1471
Si 0.0914 0.0293 0.2875
O 0.9884 0.3286 0.6525
Si 0.9086 0.4730 0.7113
O 0.2470 0.5263 0.8612
O 0.4154 0.7667 0.3848
O 0.5815 0.5082 0.3858
O 0.5155 0.8241 0.1471
Si 0.9086 0.2769 0.2887
O 0.0815 0.2582 0.8858
O 0.2494 0.2268 0.6376
Si 0.0913 0.7207 0.7125
Na 0.2989 0.3750 0.0000
O 0.5815 0.2418 0.6142
Si 0.9086 0.7769 0.2887
Fe 0.6010 0.8750 0.5000
Mg 0.9067 0.8750 0.0000
O 0.7470 0.7763 0.3612
Si 0.5913 0.9707 0.2125
O 0.0815 0.7582 0.8858
Si 0.4086 0.7230 0.2113
O 0.7495 0.9768 0.1376
O 0.2470 0.7237 0.1388
Fe 0.1010 0.6250 0.0000
O 0.7495 0.7732 0.8623
O 0.5155 0.4259 0.8529
O 0.2495 0.5232 0.3624
O 0.9886 0.4214 0.3476
O 0.0155 0.5741 0.6471
Na 0.7989 0.6250 0.5000
O 0.0156 0.0741 0.6471
O 0.9154 0.2333 0.1152
O 0.9154 0.7333 0.1152
O 0.5815 0.7418 0.6142
O 0.2495 0.7267 0.6376
O 0.4154 0.4833 0.6152
Ca 0.6987 0.1250 0.0000
Na 0.7989 0.1250 0.5000
Si 0.5913 0.2793 0.7875
O 0.0156 0.6759 0.3529
Fe 0.6009 0.3750 0.5000
Ca 0.1987 0.3750 0.5000
O 0.7495 0.4768 0.1377
O 0.9153 0.5166 0.8848
Si 0.9086 0.9730 0.7113
Ca 0.6987 0.6250 0.0000
O 0.9885 0.9214 0.3475
O 0.7470 0.4737 0.6388
Fe 0.1010 0.1251 0.0000
Si 0.4086 0.0269 0.7887
O 0.2470 0.2237 0.1388
Si 0.5914 0.7793 0.7875
Mg 0.4067 0.1250 0.5000
O 0.4154 0.9833 0.6152
O 0.7470 0.9737 0.6388
O 0.0815 0.9918 0.1142
O 0.4885 0.6714 0.8475
Si 0.5914 0.4707 0.2125
O 0.5156 0.9259 0.8529
O 0.4885 0.0786 0.1525
Ca 0.1987 0.8750 0.5000
O 0.2471 0.0263 0.8612
O 0.4885 0.1714 0.8475
O 0.9886 0.8286 0.6524
O 0.5815 0.0082 0.3858
Na 0.2989 0.8750 0.0000
O 0.9154 0.0167 0.8848
Mg 0.4067 0.6250 0.5000
O 0.4154 0.2667 0.3848
Mg 0.9067 0.3750 0.0000
O 0.0156 0.1759 0.3529

Entry 5:
NaCa3MgFeSi4O14: optimized geometry, PBE with a Hubbard U.

## Properties
E_form: -64.98 eV/f.u.
Total magnetization: 3.00 μB/f.u.
Relative energy among the computed polymorphs: 413.2 meV per atom
Crystal system: orthorhombic
MP2020-corrected energy: -7.224 eV/atom
Calculated volume: 14.27 Å³ per atom
Space-group type: Pma2 (28)

a = 5.9195 Å, b = 10.1288 Å, c = 11.4219 Å
α = 90.00°, β = 90.00°, γ = 90.00°
Sites, in units of the cell vectors:
Ca 0.7923 0.1896 0.9006
O 0.4492 0.0504 0.8615
O 0.6114 0.1740 0.3507
O 0.4276 0.5980 0.8459
O 0.1366 0.1680 0.5340
O 0.4755 0.3228 0.9425
O 0.4492 0.9496 0.1385
O 0.1366 0.8320 0.0340
O 0.1366 0.8320 0.4660
Fe 0.4595 0.5000 0.5000
Si 0.5975 0.3155 0.2500
O 0.8575 0.0204 0.7500
O 0.6114 0.8260 0.6493
O 0.1408 0.7463 0.2500
O 0.1408 0.2537 0.7500
O 0.5378 0.2465 0.7500
O 0.4276 0.5980 0.6541
Ca 0.7923 0.1896 0.5994
Mg 0.2800 0.0000 0.5000
Si 0.5975 0.6845 0.7500
O 0.6114 0.1740 0.1493
O 0.8612 0.6319 0.7500
Si 0.3334 0.7836 0.1370
Si 0.3334 0.7836 0.3630
O 0.4755 0.3228 0.5575
O 0.4276 0.4020 0.1541
Na 0.1463 0.5126 0.2500
O 0.4755 0.6772 0.0575
O 0.4755 0.6772 0.4425
Si 0.6029 0.0464 0.2500
Ca 0.7923 0.8104 0.4006
Ca 0.7923 0.8104 0.0994
O 0.4276 0.4020 0.3459
Fe 0.4595 0.5000 0.0000
O 0.4492 0.0504 0.6385
Ca 0.0645 0.1959 0.2500
Ca 0.0645 0.8041 0.7500
Na 0.1463 0.4874 0.7500
O 0.6114 0.8260 0.8507
Si 0.3334 0.2164 0.6370
O 0.8575 0.9796 0.2500
Si 0.3334 0.2164 0.8630
Mg 0.2800 0.0000 0.0000
O 0.4492 0.9496 0.3615
Si 0.6029 0.9536 0.7500
O 0.1366 0.1680 0.9660
O 0.8612 0.3681 0.2500
O 0.5378 0.7535 0.2500